Material: V4CdSe3O18
Method: DFT, GGA+U
State: relaxed

a = 6.414 Å, b = 7.626 Å, c = 16.027 Å
α = 101.27°, β = 98.90°, γ = 93.63°
Space group P-1 (No. 2)
One atom of each set of equivalent atoms:
V (0.039, 0.454, 0.290) [2 per cell]
V (0.065, 0.645, 0.939) [2 per cell]
V (0.172, 0.771, 0.165) [2 per cell]
V (0.342, 0.621, 0.481) [2 per cell]
Cd (0.178, 0.207, 0.575) [2 per cell]
Se (0.293, 0.963, 0.371) [2 per cell]
Se (0.315, 0.277, 0.942) [2 per cell]
Se (0.497, 0.531, 0.772) [2 per cell]
O (0.017, 0.755, 0.710) [2 per cell]
O (0.044, 0.470, 0.178) [2 per cell]
O (0.086, 0.584, 0.406) [2 per cell]
O (0.111, 0.006, 0.437) [2 per cell]
O (0.122, 0.175, 0.856) [2 per cell]
O (0.124, 0.633, 0.057) [2 per cell]
O (0.133, 0.805, 0.287) [2 per cell]
O (0.189, 0.830, 0.931) [2 per cell]
O (0.203, 0.272, 0.035) [2 per cell]
O (0.249, 0.453, 0.708) [2 per cell]
O (0.289, 0.962, 0.160) [2 per cell]
O (0.290, 0.744, 0.568) [2 per cell]
O (0.299, 0.056, 0.690) [2 per cell]
O (0.308, 0.501, 0.932) [2 per cell]
O (0.354, 0.393, 0.504) [2 per cell]
O (0.355, 0.461, 0.310) [2 per cell]
O (0.446, 0.671, 0.200) [2 per cell]
O (0.448, 0.820, 0.422) [2 per cell]

Properties
As for the energy of formation from the pure elements: -1703 meV per atom. The crystal system is triclinic. The magnetization is 2.000 μB per formula unit.